Computed, not measured: LaNbO2 after structural relaxation at the PBE-GGA level of DFT.

Geometry as extended XYZ:
```
16
Lattice="6.2154 -1.8386 3.9118 -2.3173 -1.6220 7.0223 -2.4911 -2.6213 -6.6511" Properties=species:S:1:pos:R:3 pbc="T T T"
La 3.3674 -3.2778 6.1490
La -0.9859 -3.6692 0.8676
La 0.2597 -2.3585 4.1931
La 0.1728 -2.8582 -2.6436
Nb 1.4183 -1.5475 0.6820
Nb 3.2805 -3.7775 -0.6877
Nb 4.5260 -2.4668 2.6379
Nb 2.1218 -4.5885 2.8235
O -0.3596 -1.4995 1.9525
O -3.1132 -3.9295 2.1651
O -1.9152 -2.8023 -1.2601
O 0.8790 -3.2176 6.4338
O 2.7087 -2.7350 3.8223
O 1.1415 -3.4089 -0.4299
O -0.0566 -4.5361 2.9952
O -2.1893 -1.9821 4.5639
```

Calculated values
The calculation puts the magnetic moment at 0.026 μB per cell. As for the space group: I4_1/amd (141). The corrected total energy (MP2020 scheme) comes out at -8.62 eV per atom.